# Ho3Ge4Pd4

A relaxed structure of Ho3Ge4Pd4 (PBE-GGA, the Materials Project).

Crystal system: orthorhombic
Calculated density, g/cm³: 9.7
VASP energy, eV/f.u.: -62.82

Cell lengths 4.172, 7.108, 13.981 Å; angles 90.00, 90.00, 90.00 degrees
Space group Immm (No. 71)
Asymmetric unit:
Ho 0.000 0.000 0.000 x2
Ho 0.000 0.500 0.126 x4
Ge 0.000 0.000 0.217 x4
Ge 0.000 0.189 0.500 x4
Pd 0.000 0.298 0.324 x8

---

# NdCu2Ge2

A relaxed structure of NdCu2Ge2 (PBE-GGA, the Materials Project).

Crystal system: tetragonal
Calculated density, g/cm³: 7.8
VASP energy, eV/f.u.: -24.90

Cell lengths 4.147, 4.147, 10.324 Å; angles 90.00, 90.00, 90.00 degrees
Space group I4/mmm (No. 139)
Asymmetric unit:
Nd 0.000 0.000 0.000 x2
Cu 0.000 0.500 0.250 x4
Ge 0.000 0.000 0.378 x4

---

- VASP energy of number 2 (NdCu2Ge2)?
  -24.90 eV/f.u.

---

Copy entry 1 word for word.
# Ho3Ge4Pd4

A relaxed structure of Ho3Ge4Pd4 (PBE-GGA, the Materials Project).

Crystal system: orthorhombic
Calculated density, g/cm³: 9.7
VASP energy, eV/f.u.: -62.82

Cell lengths 4.172, 7.108, 13.981 Å; angles 90.00, 90.00, 90.00 degrees
Space group Immm (No. 71)
Asymmetric unit:
Ho 0.000 0.000 0.000 x2
Ho 0.000 0.500 0.126 x4
Ge 0.000 0.000 0.217 x4
Ge 0.000 0.189 0.500 x4
Pd 0.000 0.298 0.324 x8

---

Please write out number 1 again, unchanged.
# Ho3Ge4Pd4

A relaxed structure of Ho3Ge4Pd4 (PBE-GGA, the Materials Project).

Crystal system: orthorhombic
Calculated density, g/cm³: 9.7
VASP energy, eV/f.u.: -62.82

Cell lengths 4.172, 7.108, 13.981 Å; angles 90.00, 90.00, 90.00 degrees
Space group Immm (No. 71)
Asymmetric unit:
Ho 0.000 0.000 0.000 x2
Ho 0.000 0.500 0.126 x4
Ge 0.000 0.000 0.217 x4
Ge 0.000 0.189 0.500 x4
Pd 0.000 0.298 0.324 x8